# 1
Entry from the Materials Project database: PrEuNbVO6 after structural relaxation (GGA+U).

Calculated values
The total energy is -8.88 eV per atom.

```
data_PrEuNbVO6
_chemical_formula_sum 'Pr4 Eu4 Nb4 V4 O24'
_space_group_name_H-M_alt 'F -4 3 m'
_space_group_IT_number 216
_space_group_name_Hall 'F -4 2 3'
_cell_length_a 8.0654
_cell_length_b 8.0654
_cell_length_c 8.0654
_cell_angle_alpha 90.00
_cell_angle_beta 90.00
_cell_angle_gamma 90.00
loop_
_atom_site_label
_atom_site_type_symbol
_atom_site_fract_x
_atom_site_fract_y
_atom_site_fract_z
Pr1 Pr 0.0000 0.0000 0.0000
Eu1 Eu 0.0000 0.0000 0.5000
Nb1 Nb 0.2500 0.2500 0.7500
V1 V 0.2500 0.2500 0.2500
O1 O 0.0023 0.2500 0.7500
```



# 2
Entry from the Materials Project database: Li4Co3O2F6 after structural relaxation (GGA+U).

Calculated values
The total energy is -5.17 eV per atom.

```
data_Li4Co3O2F6
_chemical_formula_sum 'Li8 Co6 O4 F12'
_space_group_name_H-M_alt 'P -1'
_space_group_IT_number 2
_cell_length_a 5.2638
_cell_length_b 5.9433
_cell_length_c 10.4490
_cell_angle_alpha 89.02
_cell_angle_beta 80.06
_cell_angle_gamma 72.17
loop_
_space_group_symop_operation_xyz
'x,y,z'
'-x,-y,-z'
loop_
_atom_site_label
_atom_site_type_symbol
_atom_site_fract_x
_atom_site_fract_y
_atom_site_fract_z
Li1 Li 0.0013 0.3612 0.1163
Li2 Li 0.0010 0.3608 0.6167
Li3 Li 0.0200 0.8732 0.1312
Li4 Li 0.0205 0.8732 0.6312
Co1 Co 0.4939 0.2342 0.2485
Co2 Co 0.4952 0.2334 0.7481
Co3 Co 0.5000 0.0000 0.0000
Co4 Co 0.5000 0.0000 0.5000
O1 O 0.2716 0.0573 0.1763
O2 O 0.2715 0.0570 0.6760
F1 F 0.2089 0.3082 0.9310
F2 F 0.2086 0.3091 0.4308
F3 F 0.2332 0.8285 0.4345
F4 F 0.2331 0.8294 0.9342
F5 F 0.2498 0.5686 0.2071
F6 F 0.2518 0.5681 0.7078
```



# 3
Entry from the Materials Project database: Li9Mn2Co5O16 after structural relaxation (GGA+U).

Calculated values
The total energy is -5.82 eV per atom.

```
data_Li9Mn2Co5O16
_chemical_formula_sum 'Li9 Mn2 Co5 O16'
_space_group_name_H-M_alt 'P 1'
_space_group_IT_number 1
_cell_length_a 4.9894
_cell_length_b 5.8495
_cell_length_c 9.8096
_cell_angle_alpha 99.42
_cell_angle_beta 94.35
_cell_angle_gamma 91.12
loop_
_space_group_symop_operation_xyz
'x,y,z'
loop_
_atom_site_label
_atom_site_type_symbol
_atom_site_fract_x
_atom_site_fract_y
_atom_site_fract_z
Li1 Li 0.0000 0.0000 0.0000
Li2 Li 0.9999 0.4907 0.9985
Li3 Li 0.1252 0.1785 0.7670
Li4 Li 0.2540 0.8778 0.5324
Li5 Li 0.2568 0.3600 0.5326
Li6 Li 0.4786 0.2398 0.0023
Li7 Li 0.4978 0.7424 0.0066
Li8 Li 0.7455 0.6178 0.5319
Li9 Li 0.7644 0.1203 0.5380
Mn1 Mn 0.8719 0.3062 0.2681
Mn2 Mn 0.8729 0.8061 0.2682
Co1 Co 0.1186 0.6797 0.7661
Co2 Co 0.3718 0.5575 0.2656
Co3 Co 0.3729 0.0547 0.2696
Co4 Co 0.6119 0.4253 0.7717
Co5 Co 0.6267 0.9350 0.7675
O1 O 0.0527 0.5869 0.3736
O2 O 0.0721 0.0640 0.3843
O3 O 0.1887 0.7772 0.1624
O4 O 0.1964 0.2711 0.1610
O5 O 0.3205 0.4653 0.8871
O6 O 0.3235 0.9456 0.8789
O7 O 0.4453 0.6644 0.6533
O8 O 0.4580 0.1399 0.6528
O9 O 0.5455 0.3407 0.3732
O10 O 0.5554 0.8347 0.3724
O11 O 0.6754 0.5502 0.1534
O12 O 0.6925 0.0256 0.1631
O13 O 0.7881 0.1963 0.8831
O14 O 0.8056 0.7270 0.8828
O15 O 0.9119 0.8962 0.6549
O16 O 0.9358 0.4157 0.6512
```



# 4
Entry from the Materials Project database: LiFe4B4O12 after structural relaxation (GGA+U).

Calculated values
The total energy is -7.21 eV per atom.

```
data_LiFe4B4O12
_chemical_formula_sum 'Li2 Fe8 B8 O24'
_space_group_name_H-M_alt 'P 1'
_space_group_IT_number 1
_cell_length_a 5.2056
_cell_length_b 9.1918
_cell_length_c 11.4089
_cell_angle_alpha 112.77
_cell_angle_beta 102.79
_cell_angle_gamma 91.06
loop_
_space_group_symop_operation_xyz
'x,y,z'
loop_
_atom_site_label
_atom_site_type_symbol
_atom_site_fract_x
_atom_site_fract_y
_atom_site_fract_z
Li1 Li 0.0000 0.0000 0.0000
Li2 Li 0.3099 0.9731 0.2585
Fe1 Fe 0.0214 0.3529 0.0182
Fe2 Fe 0.0616 0.0688 0.7679
Fe3 Fe 0.2672 0.9258 0.5168
Fe4 Fe 0.3099 0.6391 0.2698
Fe5 Fe 0.5243 0.8379 0.0180
Fe6 Fe 0.5585 0.5622 0.7676
Fe7 Fe 0.7722 0.4297 0.5168
Fe8 Fe 0.8127 0.1559 0.2685
B1 B 0.0080 0.6892 0.0256
B2 B 0.0586 0.3921 0.7674
B3 B 0.2720 0.6020 0.5198
B4 B 0.3238 0.3032 0.2618
B5 B 0.5240 0.1770 0.0121
B6 B 0.5560 0.8928 0.7713
B7 B 0.7716 0.1011 0.5146
B8 B 0.8060 0.8148 0.2738
O1 O 0.0145 0.5820 0.5179
O2 O 0.0905 0.8312 0.3132
O3 O 0.1317 0.5807 0.0740
O4 O 0.1462 0.8280 0.0463
O5 O 0.1862 0.1663 0.2445
O6 O 0.1987 0.4115 0.2132
O7 O 0.2397 0.1599 0.9721
O8 O 0.3167 0.4128 0.7705
O9 O 0.3579 0.7059 0.4679
O10 O 0.3744 0.9722 0.7126
O11 O 0.4580 0.7782 0.8052
O12 O 0.4608 0.5228 0.5714
O13 O 0.5054 0.0604 0.4915
O14 O 0.5943 0.3423 0.3219
O15 O 0.6460 0.0665 0.0526
O16 O 0.6630 0.6929 0.2787
O17 O 0.6677 0.2999 0.0090
O18 O 0.6848 0.9242 0.2318
O19 O 0.7386 0.6503 0.9627
O20 O 0.8237 0.9358 0.7976
O21 O 0.8700 0.4698 0.7142
O22 O 0.8711 0.2145 0.4799
O23 O 0.9544 0.0216 0.5733
O24 O 0.9726 0.2886 0.8197
```



# 5
Entry from the Materials Project database: VFeP2O8 after structural relaxation (GGA+U).

Calculated values
The total energy is -7.37 eV per atom.

```
data_VFeP2O8
_chemical_formula_sum 'V9 Fe9 P18 O72'
_space_group_name_H-M_alt 'R 3'
_space_group_IT_number 146
_space_group_name_Hall 'R 3'
_cell_length_a 8.6634
_cell_length_b 8.6634
_cell_length_c 20.6484
_cell_angle_alpha 90.00
_cell_angle_beta 90.00
_cell_angle_gamma 120.00
loop_
_atom_site_label
_atom_site_type_symbol
_atom_site_fract_x
_atom_site_fract_y
_atom_site_fract_z
V1 V 0.0000 0.0000 0.0000
V2 V 0.0000 0.0000 0.2154
V3 V 0.0000 0.0000 0.5012
Fe1 Fe 0.0000 0.0000 0.3580
Fe2 Fe 0.0000 0.0000 0.7150
Fe3 Fe 0.0000 0.0000 0.8572
P1 P 0.0003 0.2920 0.1087
P2 P 0.0002 0.7070 0.6083
O1 O 0.0007 0.8024 0.6700
O2 O 0.0078 0.1944 0.1700
O3 O 0.0167 0.8343 0.2800
O4 O 0.0213 0.1884 0.7840
O5 O 0.1414 0.4738 0.7139
O6 O 0.1408 0.6678 0.2132
O7 O 0.1673 0.6842 0.6009
O8 O 0.1688 0.4818 0.1020
```



# 6
Entry from the Materials Project database: V5P6WO24 after structural relaxation (GGA+U).

Calculated values
The total energy is -7.58 eV per atom.

```
data_V5P6WO24
_chemical_formula_sum 'V15 P18 W3 O72'
_space_group_name_H-M_alt 'R 3'
_space_group_IT_number 146
_space_group_name_Hall 'R 3'
_cell_length_a 8.7085
_cell_length_b 8.7085
_cell_length_c 21.1413
_cell_angle_alpha 90.00
_cell_angle_beta 90.00
_cell_angle_gamma 120.00
loop_
_atom_site_label
_atom_site_type_symbol
_atom_site_fract_x
_atom_site_fract_y
_atom_site_fract_z
V1 V 0.0000 0.0000 0.0000
V2 V 0.0000 0.0000 0.1413
V3 V 0.0000 0.0000 0.3550
V4 V 0.0000 0.0000 0.4980
V5 V 0.0000 0.0000 0.6396
P1 P 0.9998 0.2969 0.7458
P2 P 0.0038 0.7106 0.2470
W1 W 0.0000 0.0000 0.8536
O1 O 0.9995 0.8019 0.3075
O2 O 0.0074 0.1978 0.8075
O3 O 0.0143 0.8335 0.9181
O4 O 0.0194 0.1858 0.4225
O5 O 0.1391 0.6729 0.8535
O6 O 0.1417 0.4686 0.3546
O7 O 0.1650 0.6814 0.2407
O8 O 0.1666 0.4834 0.7413
```



- Which formula does entry 2 have?
  Li4Co3O2F6



- Which formula does entry 3 have?
  Li9Mn2Co5O16